Below is Y4Si5Rh9 after structural relaxation, with properties calculated at the PBE-GGA level. Values from VASP.

Properties
* total DFT energy (no corrections): -7.650 eV/atom
* energy of formation: -1.02 eV per atom

Cell and atoms, written as Quantum ESPRESSO input:
```
&SYSTEM
  ibrav = 0, nat = 18, ntyp = 3
/
ATOMIC_SPECIES
Rh 102.91 Rh.upf
Si 28.09 Si.upf
Y 88.91 Y.upf
ATOMIC_POSITIONS crystal
Rh 0.6083 0.6083 0.1084
Rh 0.3917 0.8916 0.3917
Si 0.7216 0.7216 0.7216
Y 0.8511 0.8511 0.8511
Y 0.0512 0.0512 0.0512
Y 0.1489 0.1489 0.1489
Rh 0.3917 0.3917 0.8916
Rh 0.5000 0.5000 0.0000
Rh 0.1084 0.6083 0.6083
Rh 0.0000 0.5000 0.5000
Si 0.3882 0.3882 0.3882
Si 0.5000 0.5000 0.5000
Rh 0.8916 0.3917 0.3917
Rh 0.5000 0.0000 0.5000
Si 0.2784 0.2784 0.2784
Y 0.9488 0.9488 0.9488
Rh 0.6083 0.1084 0.6083
Si 0.6118 0.6118 0.6118
CELL_PARAMETERS angstrom
-4.8151 -8.9158 5.9133
0.5966 -10.1071 5.9274
-1.4642 -6.5377 9.6312
```

Below is La2S2F after structural relaxation, with properties calculated at the PBE-GGA level. Values from VASP.

Properties
* total DFT energy (no corrections): -4.743 eV/atom
* energy of formation: -1.02 eV per atom

Cell and atoms, written as Quantum ESPRESSO input:
```
&SYSTEM
  ibrav = 0, nat = 5, ntyp = 3
/
ATOMIC_SPECIES
F 19.00 F.upf
La 138.91 La.upf
S 32.06 S.upf
ATOMIC_POSITIONS crystal
F 0.5000 0.5000 0.0000
La 0.5000 0.5000 0.8194
S 0.5000 0.5000 0.3564
La 0.5000 0.5000 0.1806
S 0.5000 0.5000 0.6436
CELL_PARAMETERS angstrom
6.0795 0.0000 0.0000
0.0000 6.0795 0.0000
0.0000 0.0000 13.4444
```

Below is CsK3 after structural relaxation, with properties calculated at the PBE-GGA level. Values from VASP.

Properties
* total DFT energy (no corrections): -1.026 eV/atom
* energy of formation: 0.03 eV per atom

Cell and atoms, written as Quantum ESPRESSO input:
```
&SYSTEM
  ibrav = 0, nat = 4, ntyp = 2
/
ATOMIC_SPECIES
Cs 132.91 Cs.upf
K 39.10 K.upf
ATOMIC_POSITIONS crystal
Cs 0.0000 0.0000 0.0000
K 0.0000 0.5000 0.5000
K 0.5000 0.5000 0.0000
K 0.5000 0.0000 0.5000
CELL_PARAMETERS angstrom
-5.2061 3.9391 -2.3445
-2.7506 0.1537 6.3661
3.6671 5.7076 1.4466
```

energy of formation of number 1 (Y4Si5Rh9)?
-1.02 eV per atom

Which formula does entry 3 have?
CsK3

Number 3 is which compound?
CsK3